Entry from Materials Project: an optimized crystal structure of K2CeTa5O15 (PBE-GGA).

Structure (POSCAR):
```
K2CeTa5O15
1.0
-1.660 7.948 -9.771
-2.476 -9.869 -7.607
-3.842 0.283 0.883
K Ce Ta O
4 2 10 30
Direct
0.669 0.169 0.000
0.169 0.331 0.000
0.831 0.669 0.000
0.331 0.831 0.000
0.000 0.000 0.000
0.500 0.500 0.000
0.213 0.076 0.500
0.576 0.713 0.500
0.924 0.213 0.500
0.287 0.576 0.500
0.076 0.787 0.500
0.713 0.424 0.500
0.424 0.287 0.500
0.000 0.500 0.500
0.787 0.924 0.500
0.500 0.000 0.500
0.807 0.924 0.000
0.499 0.843 0.500
0.132 0.939 0.500
0.061 0.132 0.500
0.784 0.284 0.500
0.076 0.807 0.000
0.868 0.061 0.500
0.561 0.368 0.500
0.193 0.076 0.000
0.439 0.632 0.500
0.424 0.307 0.000
0.576 0.693 0.000
0.501 0.157 0.500
0.843 0.501 0.500
0.157 0.499 0.500
0.632 0.561 0.500
0.001 0.343 0.500
0.284 0.216 0.500
0.716 0.784 0.500
0.343 0.999 0.500
0.500 0.000 0.000
0.368 0.439 0.500
0.657 0.001 0.500
0.307 0.576 0.000
0.216 0.716 0.500
0.939 0.868 0.500
0.000 0.500 0.000
0.924 0.193 0.000
0.999 0.657 0.500
0.693 0.424 0.000
```

Energy relative to the elements (eV/f.u.): -76.99
Mass density (Mg/m³): 7.096

Entry from Materials Project: an optimized crystal structure of ZnN (PBE-GGA).

Structure (POSCAR):
```
ZnN
1.0
0.000 2.157 2.157
2.157 0.000 2.157
2.157 2.157 0.000
Zn N
1 1
Direct
0.000 0.000 0.000
0.500 0.500 0.500
```

Energy relative to the elements (eV/f.u.): 1.03
Mass density (Mg/m³): 6.571

Entry from Materials Project: an optimized crystal structure of CdC6O6 (PBE-GGA).

Structure (POSCAR):
```
CdC6O6
1.0
1.195 -6.892 6.706
2.810 -1.189 -9.197
25.450 7.833 5.394
Cd C O
2 12 12
Direct
0.000 0.500 0.000
0.500 0.000 0.500
0.980 0.560 0.254
0.020 0.440 0.746
0.179 0.444 0.000
0.440 0.020 0.246
0.821 0.556 0.000
0.560 0.980 0.754
0.666 0.440 0.000
0.556 0.821 0.500
0.334 0.560 0.000
0.444 0.179 0.500
0.560 0.334 0.500
0.440 0.666 0.500
0.956 0.177 0.249
0.044 0.823 0.751
0.522 0.346 0.000
0.823 0.044 0.251
0.478 0.654 0.000
0.177 0.956 0.749
0.852 0.533 0.266
0.654 0.478 0.500
0.148 0.467 0.734
0.346 0.522 0.500
0.467 0.148 0.234
0.533 0.852 0.766
```

Energy relative to the elements (eV/f.u.): 2.88
Mass density (Mg/m³): 0.434

Entry from Materials Project: an optimized crystal structure of Sm3BS3O3 (PBE-GGA).

Structure (POSCAR):
```
Sm3BS3O3
1.0
-1.032 -3.052 2.456
-3.135 -3.678 -6.014
10.066 -4.713 -2.097
Sm B S O
6 2 6 6
Direct
0.765 0.139 0.647
0.235 0.861 0.353
0.727 0.238 0.006
0.273 0.762 0.994
0.729 0.630 0.676
0.271 0.370 0.324
0.109 0.440 0.851
0.891 0.560 0.149
0.265 0.373 0.582
0.735 0.627 0.418
0.751 0.941 0.861
0.249 0.059 0.139
0.753 0.116 0.395
0.247 0.884 0.605
0.235 0.371 0.955
0.765 0.629 0.045
0.781 0.402 0.189
0.219 0.598 0.811
0.825 0.363 0.801
0.175 0.637 0.199
```

Energy relative to the elements (eV/f.u.): -29.32
Mass density (Mg/m³): 5.697

Entry from Materials Project: an optimized crystal structure of Nb6Pb10O25 (PBE-GGA).

Structure (POSCAR):
```
Nb6Pb10O25
1.0
7.681 0.000 0.000
0.000 7.734 0.000
0.000 0.065 11.082
Nb Pb O
6 10 25
Direct
0.748 0.251 0.741
0.000 0.501 0.986
0.244 0.739 0.240
0.500 0.995 0.489
0.252 0.251 0.741
0.756 0.739 0.240
0.000 0.008 0.998
0.500 0.509 0.494
0.743 0.768 0.744
0.000 0.988 0.473
0.235 0.247 0.253
0.765 0.247 0.253
0.000 0.493 0.487
0.500 0.490 0.986
0.257 0.768 0.744
0.500 0.007 0.989
0.733 0.461 0.650
0.000 0.738 0.925
0.000 0.788 0.307
0.691 0.904 0.393
0.790 0.947 0.134
0.210 0.947 0.134
0.691 0.093 0.614
0.000 0.269 0.092
0.500 0.218 0.409
0.500 0.264 0.813
0.267 0.461 0.650
0.807 0.423 0.891
0.193 0.423 0.891
0.190 0.580 0.114
0.761 0.532 0.354
0.810 0.580 0.114
0.500 0.734 0.211
0.500 0.742 0.880
0.500 0.798 0.613
0.309 0.904 0.393
0.776 0.048 0.874
0.224 0.048 0.874
0.309 0.093 0.614
0.000 0.222 0.714
0.239 0.532 0.354
```

Energy relative to the elements (eV/f.u.): -92.55
Mass density (Mg/m³): 7.641

Entry from Materials Project: an optimized crystal structure of MnZn4S5 (PBE-GGA).

Structure (POSCAR):
```
MnZn4S5
1.0
1.938 16.782 0.000
-1.938 16.782 0.000
0.000 0.004 6.349
Mn Zn S
2 8 10
Direct
0.867 0.867 0.001
0.266 0.266 0.001
0.934 0.934 0.500
0.333 0.333 0.499
0.733 0.733 0.500
0.133 0.133 0.500
0.533 0.533 0.500
0.467 0.467 0.000
0.666 0.666 0.999
0.067 0.067 0.999
0.935 0.935 0.873
0.333 0.333 0.868
0.732 0.732 0.871
0.133 0.133 0.874
0.533 0.533 0.874
0.467 0.467 0.374
0.867 0.867 0.379
0.267 0.267 0.379
0.667 0.667 0.374
0.067 0.067 0.374
```

Energy relative to the elements (eV/f.u.): -9.30
Mass density (Mg/m³): 3.835